Below is Rb2HgSbF6 after structural relaxation, with properties calculated at the PBE-GGA level.

Total DFT energy (no corrections) in eV per cell: -39.87
Theoretical density in g/cm³: 4.32
Magnetization in Bohr magnetons per cell: 0.001
Energy relative to the elements in eV per atom: -2.48

Cell and atoms, written as POSCAR:
```
Rb2HgSbF6
1.0
0.0000 4.8862 4.8862
4.8862 0.0000 4.8862
4.8862 4.8862 0.0000
Rb Hg Sb F
2 1 1 6
Direct
0.2500 0.2500 0.2500
0.7500 0.7500 0.7500
0.0000 0.0000 0.0000
0.5000 0.5000 0.5000
0.2855 0.2855 0.7145
0.2855 0.7145 0.2855
0.2855 0.7145 0.7145
0.7145 0.2855 0.2855
0.7145 0.2855 0.7145
0.7145 0.7145 0.2855
```